Entry 1:
A plane-wave DFT calculation with PBE-GGA was carried out for crystalline GdCdPt2 at its relaxed geometry.

Values from the calculation:
Space group: Fm-3m
Formation enthalpy at 0 K: -786 meV/atom
ρ: 13.66 g/cm3

POSCAR file:
```
GdCdPt2
1.0
6.846 0.000 0.000
0.000 6.846 0.000
0.000 0.000 6.846
Gd Cd Pt
4 4 8
Direct
0.000 0.000 0.000 Gd
0.000 0.500 0.500 Gd
0.500 0.000 0.500 Gd
0.500 0.500 0.000 Gd
0.000 0.000 0.500 Cd
0.000 0.500 0.000 Cd
0.500 0.000 0.000 Cd
0.500 0.500 0.500 Cd
0.250 0.250 0.250 Pt
0.250 0.250 0.750 Pt
0.250 0.750 0.250 Pt
0.250 0.750 0.750 Pt
0.750 0.250 0.250 Pt
0.750 0.250 0.750 Pt
0.750 0.750 0.250 Pt
0.750 0.750 0.750 Pt
```

Entry 2:
A plane-wave DFT calculation with PBE-GGA was carried out for crystalline Gd2TlCd at its relaxed geometry.

Values from the calculation:
Space group: Fm-3m
Formation enthalpy at 0 K: -224 meV/atom
ρ: 7.65 g/cm3

POSCAR file:
```
Gd2TlCd
1.0
8.185 0.000 0.000
0.000 8.185 0.000
0.000 0.000 8.185
Gd Tl Cd
8 4 4
Direct
0.250 0.250 0.250 Gd
0.250 0.250 0.750 Gd
0.250 0.750 0.250 Gd
0.250 0.750 0.750 Gd
0.750 0.250 0.250 Gd
0.750 0.250 0.750 Gd
0.750 0.750 0.250 Gd
0.750 0.750 0.750 Gd
0.000 0.000 0.000 Tl
0.000 0.500 0.500 Tl
0.500 0.000 0.500 Tl
0.500 0.500 0.000 Tl
0.000 0.000 0.500 Cd
0.000 0.500 0.000 Cd
0.500 0.000 0.000 Cd
0.500 0.500 0.500 Cd
```

Entry 3:
A plane-wave DFT calculation with PBE-GGA was carried out for crystalline LiCd4Ge5HO15 at its relaxed geometry.

Values from the calculation:
Space group: P-1
Formation enthalpy at 0 K: -1906 meV/atom
ρ: 5.08 g/cm3

POSCAR file:
```
LiCd4Ge5HO15
1.0
7.200 0.000 0.000
-0.683 8.045 0.000
-0.672 -3.458 11.984
Li Cd Ge H O
2 8 10 2 30
Direct
0.177 0.365 0.405 Li
0.823 0.635 0.595 Li
0.228 0.754 0.981 Cd
0.315 0.965 0.264 Cd
0.368 0.183 0.557 Cd
0.443 0.404 0.849 Cd
0.557 0.596 0.151 Cd
0.632 0.817 0.443 Cd
0.685 0.035 0.736 Cd
0.772 0.246 0.019 Cd
0.073 0.525 0.175 Ge
0.142 0.724 0.443 Ge
0.206 0.990 0.773 Ge
0.277 0.181 0.040 Ge
0.394 0.646 0.647 Ge
0.606 0.354 0.353 Ge
0.723 0.819 0.960 Ge
0.794 0.010 0.227 Ge
0.858 0.276 0.557 Ge
0.927 0.475 0.825 Ge
0.021 0.090 0.390 H
0.979 0.910 0.610 H
0.010 0.016 0.305 O
0.063 0.209 0.497 O
0.085 0.543 0.322 O
0.103 0.297 0.117 O
0.144 0.068 0.911 O
0.150 0.474 0.887 O
0.234 0.591 0.525 O
0.247 0.675 0.152 O
0.277 0.779 0.761 O
0.316 0.886 0.435 O
0.334 0.011 0.094 O
0.380 0.120 0.731 O
0.402 0.239 0.379 O
0.437 0.454 0.678 O
0.464 0.324 0.024 O
0.536 0.676 0.976 O
0.563 0.546 0.322 O
0.598 0.761 0.621 O
0.620 0.880 0.269 O
0.666 0.989 0.906 O
0.684 0.114 0.565 O
0.723 0.221 0.239 O
0.753 0.325 0.848 O
0.766 0.409 0.475 O
0.850 0.526 0.113 O
0.856 0.932 0.089 O
0.897 0.703 0.883 O
0.915 0.457 0.678 O
0.937 0.791 0.503 O
0.990 0.984 0.695 O
```